# 1
Density functional theory data (PBE) for a relaxed structure of Pr5Sn4.

Geometry as CIF:
```
data_Pr5Sn4
_space_group_name_H-M_alt 'P n m a'
_space_group_IT_number 62
_space_group_name_Hall '-P 2ac 2n'
_cell_length_a 8.349
_cell_length_b 16.179
_cell_length_c 8.543
_cell_angle_alpha 90.00
_cell_angle_beta 90.00
_cell_angle_gamma 90.00
loop_
_atom_site_label
_atom_site_type_symbol
_atom_site_fract_x
_atom_site_fract_y
_atom_site_fract_z
Pr1 Pr 0.019 0.100 0.183
Pr2 Pr 0.132 0.620 0.336
Pr3 Pr 0.197 0.250 0.501
Sn1 Sn 0.068 0.250 0.884
Sn2 Sn 0.179 0.750 0.642
Sn3 Sn 0.210 0.043 0.533
```

# 2
Density functional theory data (PBE) for a relaxed structure of PrYSn6.

Geometry as CIF:
```
data_PrYSn6
_space_group_name_H-M_alt 'P 4/m m m'
_space_group_IT_number 123
_space_group_name_Hall '-P 4 2'
_cell_length_a 4.787
_cell_length_b 4.787
_cell_length_c 9.467
_cell_angle_alpha 90.00
_cell_angle_beta 90.00
_cell_angle_gamma 90.00
loop_
_atom_site_label
_atom_site_type_symbol
_atom_site_fract_x
_atom_site_fract_y
_atom_site_fract_z
Pr1 Pr 0.000 0.000 0.000
Y1 Y 0.000 0.000 0.500
Sn1 Sn 0.000 0.500 0.255
Sn2 Sn 0.500 0.500 0.000
Sn3 Sn 0.500 0.500 0.500
```

# 3
Density functional theory data (PBE) for a relaxed structure of SrPr3.

Geometry as CIF:
```
data_SrPr3
_space_group_name_H-M_alt 'P 63/m m c'
_space_group_IT_number 194
_space_group_name_Hall '-P 6c 2c'
_cell_length_a 7.7299
_cell_length_b 7.7299
_cell_length_c 6.1248
_cell_angle_alpha 90.00
_cell_angle_beta 90.00
_cell_angle_gamma 120.00
loop_
_atom_site_label
_atom_site_type_symbol
_atom_site_fract_x
_atom_site_fract_y
_atom_site_fract_z
Sr1 Sr 0.3333 0.6667 0.2500
Pr1 Pr 0.1604 0.3208 0.7500
```

no.,energy of formation (kcal/mol of atoms),VASP energy (eV for the cell shown)
1,-17.25,-186.697
2,-10.74,-39.030
3,3.08,-30.996